The following is a DFT calculation (PBE with a Hubbard U) of a geometry-optimized K2RbTbV2O8 structure.

The spin magnetization is 0.0 Bohr magnetons per cell. The calculation puts the formation energy at -2.731 eV per atom.

Cell and atoms, written as POSCAR:
```
K2RbTbV2O8
1.0
3.023 -5.236 0.000
3.023 5.236 0.000
0.000 0.000 7.813
O K Rb V Tb
8 2 1 2 1
Cartesian
1.587 0.917 6.463
3.023 -1.745 3.646
3.023 3.403 6.463
3.023 -3.403 1.350
4.459 -0.917 1.350
1.587 -0.917 1.350
4.459 0.917 6.463
3.023 1.745 4.166
3.023 -1.745 6.268
3.023 1.745 1.545
0.000 0.000 3.906
3.023 1.745 5.851
3.023 -1.745 1.962
0.000 0.000 0.000
```